Version w
Below is a geometry-optimized MoO4 structure, with properties calculated at the PBE+U level.

The structure in extended XYZ format:
```
10
Lattice="3.774 0.000 0.000 1.760 6.454 0.000 0.229 3.321 6.976" Properties=species:S:1:pos:R:3 pbc="T T T"
Mo 1.059 1.225 2.066
Mo 4.704 8.550 4.910
O 1.079 3.522 2.193
O 1.054 1.502 0.360
O 2.816 8.141 4.385
O 2.828 5.971 2.232
O 2.935 3.804 4.744
O 2.947 1.634 2.591
O 4.709 8.273 6.616
O 4.684 6.253 4.783
```


Version x
Below is a geometry-optimized MoO4 structure, with properties calculated at the PBE+U level.

The structure in extended XYZ format:
```
10
Lattice="3.727 -5.441 0.000 3.727 5.441 0.000 -3.399 0.000 3.718" Properties=species:S:1:pos:R:3 pbc="T T T"
Mo 1.177 4.120 2.789
Mo 2.877 -4.120 0.930
O -0.232 3.066 3.094
O -0.557 0.272 2.431
O 1.143 -0.272 0.572
O 2.586 3.066 2.483
O 1.468 -3.066 1.235
O 2.911 0.272 3.146
O 4.611 -0.272 1.287
O 4.286 -3.066 0.624
```


Question: of the structures shown, which is the most stable? Reply: version w.